(1)
CaF | GGA-PBE | relaxed

Unit cell a=3.9532 b=3.9532 c=6.4364 alpha=90.00 beta=90.00 gamma=120.00
Closest atoms and distances in Å follow each position.
Positions (direct):
Ca (0.3333, 0.6667, 0.0000)  4 F 2.42
Ca (0.6667, 0.3333, 0.5000)  4 F 2.42
F (0.3333, 0.6667, 0.3752)  4 Ca 2.42
F (0.6667, 0.3333, 0.8752)  4 Ca 2.42

Properties
E (MP2020) (eV/atom): -4.76

(2)
LiCaGaF6 | GGA-PBE | relaxed

Unit cell a=5.1702 b=5.1702 c=9.8781 alpha=90.00 beta=90.00 gamma=120.00
Closest atoms and distances in Å follow each position.
Positions (direct):
Li (0.3333, 0.6667, 0.2500)  6 F 2.05
Li (0.6667, 0.3333, 0.7500)  6 F 2.05
Ca (0.0000, 0.0000, 0.0000)  6 F 2.31
Ca (0.0000, 0.0000, 0.5000)  6 F 2.31
Ga (0.3333, 0.6667, 0.7500)  6 F 1.92
Ga (0.6667, 0.3333, 0.2500)  6 F 1.92
F (0.0191, 0.3661, 0.6403)  1 Ga 1.92, 1 Li 2.05
F (0.0191, 0.6530, 0.8597)  1 Ga 1.92, 1 Li 2.05
F (0.3470, 0.3661, 0.8597)  1 Ga 1.92, 1 Li 2.05
F (0.3470, 0.9809, 0.6403)  1 Ga 1.92, 1 Li 2.05
F (0.3661, 0.0191, 0.1403)  1 Ga 1.92, 1 Li 2.05
F (0.3661, 0.3470, 0.3597)  1 Ga 1.92, 1 Li 2.05
F (0.6339, 0.6530, 0.6403)  1 Ga 1.92, 1 Li 2.05
F (0.6339, 0.9809, 0.8597)  1 Ga 1.92, 1 Li 2.05
F (0.6530, 0.0191, 0.3597)  1 Ga 1.92, 1 Li 2.05
F (0.6530, 0.6339, 0.1403)  1 Ga 1.92, 1 Li 2.05
F (0.9809, 0.3470, 0.1403)  1 Ga 1.92, 1 Li 2.05
F (0.9809, 0.6339, 0.3597)  1 Ga 1.92, 1 Li 2.05

Properties
E (MP2020) (eV/atom): -5.51

(3)
NaCa2GeO4F | GGA-PBE | relaxed

Unit cell a=5.5534 b=7.3962 c=12.7001 alpha=89.90 beta=89.68 gamma=89.92
Closest atoms and distances in Å follow each position.
Positions (direct):
Na (0.0000, 0.0000, 0.0000)  4 O 2.33-2.52, 2 F 2.57-2.59
Na (0.0042, 0.7656, 0.2469)  4 O 2.32-2.53, 1 F 2.58
Na (0.5052, 0.5007, 0.8342)  4 O 2.36-2.54, 2 F 2.52
Na (0.5472, 0.0008, 0.3223)  4 O 2.32-2.50
Ca (0.0445, 0.2583, 0.7586)  4 O 2.31-2.41, 2 F 2.34-2.45
Ca (0.0458, 0.5068, 0.4895)  4 O 2.26-2.43, 2 F 2.37-2.39
Ca (0.0470, 0.9865, 0.4847)  4 O 2.22-2.43, 2 F 2.42
Ca (0.4976, 0.0130, 0.8380)  4 O 2.28-2.38, 2 F 2.42-2.45
Ca (0.5022, 0.7503, 0.5726)  4 O 2.30-2.40, 2 F 2.31-2.42
Ca (0.5440, 0.2452, 0.0696)  4 O 2.31-2.36, 2 F 2.41-2.50
Ca (0.5520, 0.5241, 0.3246)  4 O 2.23-2.48, 2 F 2.46-2.50
Ca (0.9964, 0.4951, 0.9941)  4 O 2.24-2.36, 1 F 2.49
Ge (0.0684, 0.2569, 0.2466)  4 O 1.76-1.80
Ge (0.4703, 0.7471, 0.0799)  4 O 1.76-1.80
Ge (0.5681, 0.2452, 0.5798)  4 O 1.77-1.82
Ge (0.9738, 0.7565, 0.7463)  4 O 1.77-1.80
O (0.0568, 0.5563, 0.8133)  1 Ge 1.77
O (0.0822, 0.7446, 0.6129)  1 Ge 1.80
O (0.0852, 0.9548, 0.8064)  1 Ge 1.77
O (0.1505, 0.7367, 0.0761)  1 Ge 1.78
O (0.3921, 0.2748, 0.2385)  1 Ge 1.80
O (0.4616, 0.2495, 0.7113)  1 Ge 1.77
O (0.4670, 0.0481, 0.5139)  1 Ge 1.78
O (0.4720, 0.4448, 0.5110)  1 Ge 1.80
O (0.5616, 0.9470, 0.0108)  1 Ge 1.79
O (0.5735, 0.7540, 0.2108)  1 Ge 1.76
O (0.5838, 0.5489, 0.0146)  1 Ge 1.80
O (0.6512, 0.7706, 0.7405)  1 Ge 1.80
O (0.8958, 0.2468, 0.5811)  1 Ge 1.82
O (0.9534, 0.2587, 0.1161)  1 Ge 1.78
O (0.9605, 0.4487, 0.3187)  1 Ge 1.79
O (0.9887, 0.0600, 0.3169)  1 Ge 1.76
F (0.2678, 0.2552, 0.9242)  4 Ca 2.41-2.49, 2 Na 2.52-2.59
F (0.2772, 0.7396, 0.4103)  4 Ca 2.37-2.46, 1 Na 2.58
F (0.7689, 0.2461, 0.8983)  4 Ca 2.34-2.55, 2 Na 2.52-2.57
F (0.7789, 0.7431, 0.4361)  4 Ca 2.31-2.50

Properties
E (MP2020) (eV/atom): -6.48

(4)
CaHF | GGA-PBE | relaxed

Unit cell a=3.8751 b=3.8751 c=3.8751 alpha=60.00 beta=60.00 gamma=60.00
Closest atoms and distances in Å follow each position.
Positions (direct):
Ca (0.0000, 0.0000, 0.0000)  4 F 2.37, 4 H 2.37
H (0.2500, 0.2500, 0.2500)  4 Ca 2.37
F (0.7500, 0.7500, 0.7500)  4 Ca 2.37

Properties
E (MP2020) (eV/atom): -4.81

(5)
CaH4IrO2F6 | GGA-PBE | relaxed

Unit cell a=5.9610 b=9.6720 c=11.7699 alpha=90.00 beta=110.95 gamma=90.00
Closest atoms and distances in Å follow each position.
Positions (direct):
Ca (0.2127, 0.1803, 0.0470)  5 F 2.31-2.48, 3 O 2.51-2.58
Ca (0.2127, 0.3197, 0.5470)  5 F 2.31-2.48, 3 O 2.51-2.58
Ca (0.7873, 0.6803, 0.4530)  5 F 2.31-2.48, 3 O 2.51-2.58
Ca (0.7873, 0.8197, 0.9530)  5 F 2.31-2.48, 3 O 2.51-2.58
H (0.2296, 0.5922, 0.6694)  1 O 0.99
H (0.2296, 0.9078, 0.1694)  1 O 0.99
H (0.3164, 0.6420, 0.5639)  1 O 0.99
H (0.3164, 0.8580, 0.0639)  1 O 0.99
H (0.3425, 0.6579, 0.9395)  1 O 0.99
H (0.3425, 0.8421, 0.4395)  1 O 0.99
H (0.4882, 0.1395, 0.4241)  1 O 0.98
H (0.4882, 0.3605, 0.9241)  1 O 0.98
H (0.5118, 0.6395, 0.0759)  1 O 0.98
H (0.5118, 0.8605, 0.5759)  1 O 0.98
H (0.6575, 0.1579, 0.5605)  1 O 0.99
H (0.6575, 0.3421, 0.0605)  1 O 0.99
H (0.6836, 0.1420, 0.9361)  1 O 0.99
H (0.6836, 0.3580, 0.4361)  1 O 0.99
H (0.7704, 0.0922, 0.8306)  1 O 0.99
H (0.7704, 0.4078, 0.3306)  1 O 0.99
Ir (0.1369, 0.5388, 0.2336)  6 F 1.95-2.00
Ir (0.1369, 0.9612, 0.7336)  6 F 1.95-2.00
Ir (0.8631, 0.0388, 0.2664)  6 F 1.95-2.00
Ir (0.8631, 0.4612, 0.7664)  6 F 1.95-2.00
O (0.2012, 0.5795, 0.5820)  2 H 0.99
O (0.2012, 0.9205, 0.0820)  2 H 0.99
O (0.4622, 0.7067, 0.0092)  2 H 0.98-0.99
O (0.4622, 0.7933, 0.5092)  2 H 0.98-0.99
O (0.5378, 0.2067, 0.4908)  2 H 0.98-0.99
O (0.5378, 0.2933, 0.9908)  2 H 0.98-0.99
O (0.7988, 0.0795, 0.9180)  2 H 0.99
O (0.7988, 0.4205, 0.4180)  2 H 0.99
F (0.0034, 0.6687, 0.3205)  1 Ir 1.96
F (0.0034, 0.8313, 0.8205)  1 Ir 1.96
F (0.0158, 0.6501, 0.0862)  1 Ir 1.95
F (0.0158, 0.8499, 0.5862)  1 Ir 1.95
F (0.1784, 0.5588, 0.8154)  2 H 1.73-1.88
F (0.1784, 0.9412, 0.3154)  2 H 1.73-1.88
F (0.2630, 0.0706, 0.8824)  1 Ir 1.95
F (0.2630, 0.4294, 0.3824)  1 Ir 1.95
F (0.2757, 0.0932, 0.6526)  1 Ir 1.95
F (0.2757, 0.4068, 0.1526)  1 Ir 1.95
F (0.4466, 0.6441, 0.2839)  1 Ir 2.00
F (0.4466, 0.8559, 0.7839)  1 Ir 2.00
F (0.5534, 0.1441, 0.2161)  1 Ir 2.00
F (0.5534, 0.3559, 0.7161)  1 Ir 2.00
F (0.7243, 0.5932, 0.8474)  1 Ir 1.95
F (0.7243, 0.9068, 0.3474)  1 Ir 1.95
F (0.7370, 0.5706, 0.6176)  1 Ir 1.95
F (0.7370, 0.9294, 0.1176)  1 Ir 1.95
F (0.8216, 0.0588, 0.6846)  2 H 1.73-1.88
F (0.8216, 0.4412, 0.1846)  2 H 1.73-1.88
F (0.9842, 0.1501, 0.4138)  1 Ir 1.95
F (0.9842, 0.3499, 0.9138)  1 Ir 1.95
F (0.9966, 0.1687, 0.1795)  1 Ir 1.96
F (0.9966, 0.3313, 0.6795)  1 Ir 1.96

Properties
E (MP2020) (eV/atom): -5.37

(6)
CaPH4O5F | GGA-PBE | relaxed

Unit cell a=5.8042 b=6.3040 c=8.4836 alpha=109.20 beta=92.92 gamma=114.89
Closest atoms and distances in Å follow each position.
Positions (direct):
Ca (0.0259, 0.3233, 0.1422)  7 O 2.34-2.58
Ca (0.9741, 0.6767, 0.8578)  7 O 2.34-2.58
P (0.4380, 0.1485, 0.8496)  3 O 1.52-1.53, 1 F 1.62
P (0.5620, 0.8515, 0.1504)  3 O 1.52-1.53, 1 F 1.62
H (0.1013, 0.8242, 0.3628)  1 O 0.98
H (0.1952, 0.7559, 0.5098)  1 O 1.00
H (0.2666, 0.3080, 0.4678)  1 O 0.97
H (0.3923, 0.2010, 0.3160)  1 O 1.00
H (0.6077, 0.7990, 0.6840)  1 O 1.00
H (0.7334, 0.6920, 0.5322)  1 O 0.97
H (0.8048, 0.2441, 0.4902)  1 O 1.00
H (0.8987, 0.1758, 0.6372)  1 O 0.98
O (0.0842, 0.6822, 0.3930)  2 H 0.98-1.00
O (0.2416, 0.2332, 0.3440)  2 H 0.97-1.00
O (0.2508, 0.1456, 0.9686)  1 P 1.52
O (0.2724, 0.6882, 0.0659)  1 P 1.53
O (0.3594, 0.8776, 0.7255)  1 P 1.53
O (0.6406, 0.1224, 0.2745)  1 P 1.53
O (0.7276, 0.3118, 0.9341)  1 P 1.53
O (0.7492, 0.8544, 0.0314)  1 P 1.52
O (0.7584, 0.7668, 0.6560)  2 H 0.97-1.00
O (0.9158, 0.3177, 0.6070)  2 H 0.98-1.00
F (0.3915, 0.2885, 0.7311)  1 P 1.62
F (0.6085, 0.7115, 0.2689)  1 P 1.62

Properties
E (MP2020) (eV/atom): -6.23
Excess energy over the best structure of this formula in the dataset (eV/atom): 0.000

Copy entry 4 word for word.
CaHF | GGA-PBE | relaxed

Unit cell a=3.8751 b=3.8751 c=3.8751 alpha=60.00 beta=60.00 gamma=60.00
Closest atoms and distances in Å follow each position.
Positions (direct):
Ca (0.0000, 0.0000, 0.0000)  4 F 2.37, 4 H 2.37
H (0.2500, 0.2500, 0.2500)  4 Ca 2.37
F (0.7500, 0.7500, 0.7500)  4 Ca 2.37

Properties
E (MP2020) (eV/atom): -4.81